Record 1
The following is a DFT calculation (GGA-PBE) of an optimized crystal structure of BN.

abc: 11.527 10.993 10.370
angles: 91.27 81.61 93.45
Fractional coordinates of all 100 atoms:
1 B 0.765 0.319 0.807
2 B 0.283 0.801 0.589
3 B 0.888 0.070 0.254
4 B 0.556 0.057 0.499
5 B 0.665 0.661 0.458
6 B 0.911 0.180 0.889
7 B 0.611 0.822 0.073
8 B 0.985 0.880 0.290
9 B 0.131 0.395 0.307
10 B 0.882 0.615 0.741
11 B 0.527 0.655 0.800
12 B 0.121 0.748 0.426
13 B 0.331 0.453 0.326
14 B 0.190 0.325 0.510
15 B 0.472 0.453 0.106
16 B 0.798 0.995 0.801
17 B 0.739 0.201 0.700
18 B 0.070 0.369 0.909
19 B 0.003 0.541 0.422
20 B 0.606 0.057 0.078
21 B 0.755 0.500 0.198
22 B 0.442 0.596 0.464
23 B 0.212 0.573 0.485
24 B 0.798 0.648 0.548
25 B 0.099 0.068 0.846
26 B 0.675 0.670 0.103
27 B 0.338 0.260 0.661
28 B 0.714 0.155 0.326
29 B 0.045 0.176 0.643
30 B 0.509 0.126 0.690
31 B 0.783 0.549 0.407
32 B 0.431 0.682 0.694
33 B 0.808 0.863 0.187
34 B 0.702 0.074 0.188
35 B 0.038 0.008 0.621
36 B 0.444 0.909 0.697
37 B 0.734 0.841 0.626
38 B 0.093 0.902 0.511
39 B 0.985 0.301 0.458
40 B 0.501 0.928 0.933
41 B 0.849 0.151 0.577
42 B 0.532 0.613 0.951
43 B 0.671 0.467 0.991
44 B 0.211 0.441 0.688
45 B 0.653 0.591 0.732
46 B 0.055 0.030 0.097
47 B 0.589 0.176 0.885
48 B 0.501 0.506 0.656
49 B 0.127 0.404 0.149
50 B 0.088 0.550 0.737
51 N 0.840 0.173 0.336
52 N 0.739 0.392 0.903
53 N 0.332 0.562 0.409
54 N 0.303 0.069 0.363
55 N 0.563 0.933 0.040
56 N 0.315 0.247 0.997
57 N 0.888 0.588 0.459
58 N 0.114 0.620 0.419
59 N 0.896 0.812 0.247
60 N 0.989 0.616 0.763
61 N 0.616 0.168 0.748
62 N 0.498 0.007 0.613
63 N 0.945 0.088 0.619
64 N 0.192 0.819 0.525
65 N 0.010 0.022 0.226
66 N 0.183 0.548 0.621
67 N 0.131 0.450 0.807
68 N 0.711 0.794 0.137
69 N 0.110 0.085 0.712
70 N 0.836 0.082 0.879
71 N 0.414 0.197 0.704
72 N 0.570 0.154 0.008
73 N 0.093 0.037 0.969
74 N 0.621 0.136 0.428
75 N 0.379 0.795 0.652
76 N 0.729 0.763 0.525
77 N 0.418 0.573 0.614
78 N 0.072 0.274 0.551
79 N 0.060 0.854 0.391
80 N 0.572 0.698 0.043
81 N 0.222 0.719 0.943
82 N 0.800 0.999 0.191
83 N 0.890 0.213 0.451
84 N 0.016 0.413 0.384
85 N 0.755 0.909 0.727
86 N 0.598 0.477 0.697
87 N 0.543 0.481 0.989
88 N 0.093 0.390 0.038
89 N 0.405 0.428 0.212
90 N 0.344 0.005 0.287
91 N 0.301 0.167 0.062
92 N 0.764 0.461 0.311
93 N 0.214 0.742 0.049
94 N 0.779 0.620 0.693
95 N 0.452 0.919 0.830
96 N 0.266 0.337 0.616
97 N 0.555 0.640 0.424
98 N 0.723 0.549 0.087
99 N 0.225 0.367 0.378
100 N 0.991 0.269 0.879

- space-group type = P1
- mass density (Mg/m³) = 1.6
- excess energy over the best structure of this formula in the dataset (eV per atom) = 0.916
- total DFT energy (no corrections) (eV per atom) = -7.87


Record 2
The following is a DFT calculation (GGA-PBE) of an optimized crystal structure of BN.

abc: 10.549 10.801 11.099
angles: 91.22 88.93 91.08
Fractional coordinates of all 100 atoms:
1 B 0.975 0.587 0.494
2 B 0.365 0.695 0.236
3 B 0.342 0.844 0.882
4 B 0.380 0.797 0.665
5 B 0.956 0.111 0.481
6 B 0.938 0.505 0.278
7 B 0.921 0.888 0.204
8 B 0.332 0.228 0.618
9 B 0.923 0.735 0.359
10 B 0.615 0.260 0.652
11 B 0.366 0.090 0.194
12 B 0.928 0.572 0.042
13 B 0.272 0.414 0.712
14 B 0.940 0.731 0.840
15 B 0.738 0.986 0.443
16 B 0.290 0.448 0.933
17 B 0.045 0.786 0.445
18 B 0.778 0.922 0.305
19 B 0.924 0.522 0.819
20 B 0.409 0.736 0.449
21 B 0.756 0.983 0.609
22 B 0.728 0.316 0.139
23 B 0.002 0.273 0.278
24 B 0.658 0.440 0.291
25 B 0.810 0.101 0.153
26 B 0.351 0.056 0.968
27 B 0.431 0.216 0.491
28 B 0.326 0.106 0.419
29 B 0.267 0.357 0.562
30 B 0.331 0.269 0.062
31 B 0.072 0.107 0.373
32 B 0.506 0.928 0.537
33 B 0.317 0.233 0.837
34 B 0.320 0.484 0.152
35 B 0.409 0.909 0.321
36 B 0.302 0.631 0.803
37 B 0.343 0.517 0.377
38 B 0.941 0.473 0.681
39 B 0.965 0.361 0.471
40 B 0.562 0.342 0.439
41 B 0.330 0.578 0.586
42 B 0.059 0.718 0.670
43 B 0.313 0.665 0.020
44 B 0.151 0.243 0.510
45 B 0.377 0.020 0.739
46 B 0.378 0.311 0.277
47 B 0.359 0.877 0.104
48 B 0.801 0.888 0.724
49 B 0.109 0.873 0.291
50 B 0.786 0.320 0.777
51 N 0.672 0.421 0.171
52 N 0.060 0.036 0.939
53 N 0.960 0.381 0.336
54 N 0.150 0.858 0.406
55 N 0.454 0.284 0.380
56 N 0.678 0.265 0.754
57 N 0.309 0.399 0.050
58 N 0.605 0.597 0.907
59 N 0.005 0.240 0.519
60 N 0.421 0.929 0.646
61 N 0.460 0.860 0.429
62 N 0.373 0.037 0.313
63 N 0.891 0.394 0.784
64 N 0.820 0.985 0.191
65 N 0.356 0.976 0.861
66 N 0.335 0.187 0.955
67 N 0.061 0.746 0.785
68 N 0.938 0.530 0.150
69 N 0.922 0.608 0.919
70 N 0.340 0.758 0.782
71 N 0.039 0.694 0.549
72 N 0.342 0.156 0.724
73 N 0.196 0.141 0.435
74 N 0.335 0.435 0.270
75 N 0.052 0.887 0.186
76 N 0.364 0.009 0.088
77 N 0.289 0.581 0.920
78 N 0.333 0.796 0.002
79 N 0.358 0.222 0.179
80 N 0.044 0.162 0.259
81 N 0.979 0.078 0.893
82 N 0.614 0.642 0.998
83 N 0.382 0.702 0.570
84 N 0.842 0.806 0.284
85 N 0.782 0.210 0.111
86 N 0.289 0.545 0.704
87 N 0.315 0.477 0.498
88 N 0.839 0.810 0.800
89 N 0.955 0.468 0.554
90 N 0.645 0.439 0.409
91 N 0.639 0.970 0.537
92 N 0.325 0.616 0.138
93 N 0.837 0.051 0.520
94 N 0.931 0.602 0.370
95 N 0.383 0.826 0.219
96 N 0.649 0.020 0.915
97 N 0.377 0.647 0.355
98 N 0.281 0.361 0.828
99 N 0.630 0.940 0.975
100 N 0.558 0.257 0.547

- space-group type = P1
- mass density (Mg/m³) = 1.6
- excess energy over the best structure of this formula in the dataset (eV per atom) = 0.659
- total DFT energy (no corrections) (eV per atom) = -8.13


Record 3
The following is a DFT calculation (GGA-PBE) of an optimized crystal structure of BN.

abc: 2.512 2.512 8.268
angles: 90.00 90.00 120.00
Fractional coordinates of all 4 atoms:
1 N 0.000 0.000 0.250
2 N 0.000 0.000 0.750
3 B 0.667 0.333 0.250
4 B 0.333 0.667 0.750

- space-group type = P6_3/mmc
- mass density (Mg/m³) = 1.8
- excess energy over the best structure of this formula in the dataset (eV per atom) = 0.000
- total DFT energy (no corrections) (eV per atom) = -8.79


Record 4
The following is a DFT calculation (GGA-PBE) of an optimized crystal structure of BN.

abc: 4.939 3.927 4.942
angles: 68.04 90.00 90.00
Fractional coordinates of all 8 atoms:
1 N 0.343 0.501 0.656
2 N 0.157 0.501 0.156
3 N 0.843 0.499 0.844
4 N 0.657 0.499 0.344
5 B 0.642 0.500 0.642
6 B 0.142 0.500 0.858
7 B 0.858 0.500 0.142
8 B 0.358 0.500 0.358

- space-group type = P2_1/c
- mass density (Mg/m³) = 1.9
- excess energy over the best structure of this formula in the dataset (eV per atom) = 0.321
- total DFT energy (no corrections) (eV per atom) = -8.47


Record 5
The following is a DFT calculation (GGA-PBE) of an optimized crystal structure of BN.

abc: 2.564 2.564 2.564
angles: 60.00 60.00 60.00
Fractional coordinates of all 2 atoms:
1 B 0.000 0.000 0.000
2 N 0.250 0.250 0.250

- space-group type = F-43m
- maximum piezoelectric response (C/m²) = 0.897
- mass density (Mg/m³) = 3.5
- excess energy over the best structure of this formula in the dataset (eV per atom) = 0.077
- total DFT energy (no corrections) (eV per atom) = -8.71


Record 6
The following is a DFT calculation (GGA-PBE) of an optimized crystal structure of BN.

abc: 6.674 6.674 4.399
angles: 89.49 89.49 21.70
Fractional coordinates of all 8 atoms:
1 B 0.532 0.532 0.502
2 B 0.000 0.000 0.001
3 B 0.200 0.200 0.572
4 B 0.866 0.866 0.619
5 N 0.312 0.312 0.607
6 N 0.506 0.506 0.157
7 N 0.981 0.981 0.657
8 N 0.647 0.647 0.556

- space-group type = Cm
- mass density (Mg/m³) = 2.3
- excess energy over the best structure of this formula in the dataset (eV per atom) = 0.138
- total DFT energy (no corrections) (eV per atom) = -8.65


Record 7
The following is a DFT calculation (GGA-PBE) of an optimized crystal structure of BN.

abc: 10.948 10.696 10.432
angles: 90.00 91.69 86.36
Fractional coordinates of all 100 atoms:
1 N 0.413 0.187 0.958
2 N 0.251 0.787 0.809
3 N 0.354 0.433 0.297
4 N 0.664 0.119 0.658
5 N 0.856 0.433 0.509
6 N 0.649 0.647 0.737
7 N 0.338 0.979 0.893
8 N 0.320 0.623 0.165
9 N 0.731 0.061 0.263
10 N 0.652 0.341 0.586
11 N 0.359 0.835 0.266
12 N 0.363 0.663 0.637
13 N 0.866 0.668 0.083
14 N 0.240 0.602 0.941
15 N 0.214 0.103 0.656
16 N 0.439 0.863 0.718
17 N 0.484 0.265 0.420
18 N 0.274 0.818 0.043
19 N 0.608 0.840 0.013
20 N 0.358 0.464 0.788
21 N 0.132 0.159 0.420
22 N 0.076 0.439 0.607
23 N 0.463 0.089 0.739
24 N 0.426 0.046 0.358
25 N 0.409 0.230 0.193
26 N 0.737 0.294 0.180
27 N 0.087 0.648 0.739
28 N 0.065 0.948 0.316
29 N 0.427 0.837 0.489
30 N 0.064 0.304 0.149
31 N 0.356 0.021 0.123
32 N 0.184 0.188 0.712
33 N 0.730 0.540 0.223
34 N 0.626 0.464 0.417
35 N 0.871 0.487 0.919
36 N 0.903 0.331 0.725
37 N 0.613 0.605 0.824
38 N 0.621 0.919 0.579
39 N 0.035 0.153 0.954
40 N 0.794 0.738 0.303
41 N 0.660 0.915 0.970
42 N 0.974 0.638 0.529
43 N 0.981 0.873 0.092
44 N 0.920 0.816 0.667
45 N 0.350 0.641 0.399
46 N 0.928 0.013 0.784
47 N 0.360 0.417 0.045
48 N 0.546 0.290 0.784
49 N 0.937 0.724 0.898
50 N 0.292 0.464 0.540
51 B 0.345 0.701 0.276
52 B 0.281 0.866 0.916
53 B 0.330 0.536 0.652
54 B 0.098 0.055 0.366
55 B 0.890 0.406 0.827
56 B 0.342 0.489 0.169
57 B 0.331 0.510 0.412
58 B 0.365 0.066 0.993
59 B 0.459 0.384 0.781
60 B 0.718 0.997 0.646
61 B 0.189 0.672 0.830
62 B 0.569 0.354 0.471
63 B 0.327 0.892 0.144
64 B 0.058 0.575 0.632
65 B 0.668 0.871 0.447
66 B 0.806 0.649 0.196
67 B 0.641 0.249 0.684
68 B 0.724 0.416 0.510
69 B 0.739 0.415 0.189
70 B 0.401 0.097 0.227
71 B 0.915 0.767 0.540
72 B 0.735 0.176 0.219
73 B 0.410 0.979 0.781
74 B 0.980 0.740 0.770
75 B 0.501 0.875 0.598
76 B 0.707 0.967 0.340
77 B 0.818 0.811 0.417
78 B 0.396 0.281 0.062
79 B 0.657 0.569 0.339
80 B 0.317 0.489 0.927
81 B 0.470 0.185 0.832
82 B 0.377 0.716 0.508
83 B 0.274 0.683 0.050
84 B 0.046 0.229 0.048
85 B 0.980 0.081 0.868
86 B 0.414 0.309 0.304
87 B 0.145 0.286 0.418
88 B 0.408 0.908 0.372
89 B 0.889 0.608 0.958
90 B 0.911 0.540 0.488
91 B 0.351 0.770 0.724
92 B 0.533 0.087 0.614
93 B 0.179 0.391 0.534
94 B 0.951 0.385 0.621
95 B 0.931 0.774 0.029
96 B 0.862 0.943 0.699
97 B 0.677 0.729 0.369
98 B 0.097 0.318 0.268
99 B 0.020 0.910 0.203
100 B 0.475 0.131 0.458

- space-group type = P1
- mass density (Mg/m³) = 1.7
- excess energy over the best structure of this formula in the dataset (eV per atom) = 0.666
- total DFT energy (no corrections) (eV per atom) = -8.12


Copy entry 6 word for word.
The following is a DFT calculation (GGA-PBE) of an optimized crystal structure of BN.

abc: 6.674 6.674 4.399
angles: 89.49 89.49 21.70
Fractional coordinates of all 8 atoms:
1 B 0.532 0.532 0.502
2 B 0.000 0.000 0.001
3 B 0.200 0.200 0.572
4 B 0.866 0.866 0.619
5 N 0.312 0.312 0.607
6 N 0.506 0.506 0.157
7 N 0.981 0.981 0.657
8 N 0.647 0.647 0.556

- space-group type = Cm
- mass density (Mg/m³) = 2.3
- excess energy over the best structure of this formula in the dataset (eV per atom) = 0.138
- total DFT energy (no corrections) (eV per atom) = -8.65